Entry 1:
Material: In5Br7
Method: DFT, PBE
State: optimized geometry

a b c (Å): 18.9492 18.9315 19.6703
angles (deg): 90.00 104.05 90.00
Space group Cc (No. 9)
Inequivalent atoms, fractional coordinates:
In (0.0000, 0.0470, 0.0000)
In (0.0334, 0.3345, 0.2608)
In (0.0529, 0.4381, 0.6455)
In (0.0800, 0.0807, 0.3121)
In (0.1278, 0.4102, 0.9889)
In (0.1670, 0.2860, 0.4955)
In (0.1840, 0.0728, 0.6549)
In (0.1858, 0.1946, 0.1456)
In (0.2079, 0.2796, 0.7986)
In (0.2446, 0.4193, 0.3175)
In (0.2960, 0.0808, 0.9856)
In (0.3207, 0.4366, 0.6522)
In (0.3413, 0.3398, 0.0354)
In (0.3814, 0.0449, 0.3005)
In (0.3825, 0.1207, 0.5346)
In (0.3970, 0.2132, 0.7669)
In (0.4320, 0.2584, 0.5350)
In (0.4404, 0.2411, 0.2621)
In (0.4788, 0.2915, 0.0338)
In (0.4890, 0.3792, 0.2651)
Br (0.0279, 0.2158, 0.9643)
Br (0.0415, 0.3526, 0.8137)
Br (0.0614, 0.1212, 0.4838)
Br (0.0746, 0.4464, 0.3372)
Br (0.0773, 0.2424, 0.6493)
Br (0.0781, 0.3713, 0.1498)
Br (0.1208, 0.0979, 0.8387)
Br (0.1398, 0.2494, 0.3209)
Br (0.1639, 0.4406, 0.5484)
Br (0.1668, 0.0611, 0.0483)
Br (0.2093, 0.0630, 0.2469)
Br (0.2085, 0.4375, 0.7481)
Br (0.2342, 0.2545, 0.9757)
Br (0.2514, 0.0976, 0.4611)
Br (0.2951, 0.3738, 0.1463)
Br (0.2978, 0.2491, 0.6527)
Br (0.3006, 0.4531, 0.9616)
Br (0.3149, 0.1222, 0.8140)
Br (0.3325, 0.3543, 0.4880)
Br (0.3430, 0.2136, 0.3303)
Br (0.3766, 0.0454, 0.6448)
Br (0.3790, 0.1738, 0.1454)
Br (0.3868, 0.3267, 0.8365)
Br (0.4197, 0.4692, 0.3277)
Br (0.4550, 0.0283, 0.4770)
Br (0.4903, 0.1758, 0.9670)
Br (0.4959, 0.4543, 0.1546)
Br (0.4992, 0.3267, 0.6499)

Output
- crystal system = monoclinic
- V (Å³ per atom) = 35.65
- energy with MP2020 corrections (eV/atom) = -3.144

Entry 2:
Material: BaTiO3
Method: DFT, PBE
State: optimized geometry

a b c (Å): 5.7876 5.7876 14.0971
angles (deg): 90.00 90.00 120.00
Space group P6_3/mmc (No. 194)
Inequivalent atoms, fractional coordinates:
Ba (0.0000, 0.0000, 0.2500)
Ba (0.3333, 0.6667, 0.0967)
Ti (0.0000, 0.0000, 0.0000)
Ti (0.3333, 0.6667, 0.6539)
O (0.0358, 0.5179, 0.7500)
O (0.1653, 0.3306, 0.5806)

Output
- crystal system = hexagonal
- V (Å³ per atom) = 13.63
- energy with MP2020 corrections (eV/atom) = -8.416

Entry 3:
Material: Na7CaTi3Si3P3O24
Method: DFT, PBE
State: optimized geometry

a b c (Å): 9.0633 9.0670 22.1455
angles (deg): 89.80 89.88 60.13
Space group P1 (No. 1)
Inequivalent atoms, fractional coordinates:
Na (0.0000, 0.0000, 0.0000)
Na (0.0007, 0.6487, 0.4980)
Na (0.0159, 0.3266, 0.9145)
Na (0.0327, 0.9338, 0.6647)
Na (0.0347, 0.6759, 0.1622)
Na (0.0373, 0.3043, 0.4174)
Na (0.0613, 0.9934, 0.3363)
Na (0.3137, 0.3461, 0.3344)
Na (0.3222, 0.9814, 0.8351)
Na (0.3611, 0.6498, 0.2505)
Na (0.3663, 0.2884, 0.9972)
Na (0.3694, 0.6285, 0.7548)
Na (0.3917, 0.9406, 0.1623)
Na (0.4016, 0.3223, 0.6633)
Na (0.6465, 0.6857, 0.6659)
Na (0.6603, 0.3218, 0.1650)
Na (0.6738, 0.9861, 0.5813)
Na (0.6963, 0.9741, 0.0827)
Na (0.7062, 0.5991, 0.3364)
Na (0.7112, 0.6546, 0.0036)
Na (0.7137, 0.2866, 0.5019)
Ca (0.0272, 0.3144, 0.2726)
Ca (0.3588, 0.6499, 0.0930)
Ca (0.3656, 0.6435, 0.6014)
Ti (0.0158, 0.3256, 0.7755)
Ti (0.0306, 0.3066, 0.5643)
Ti (0.0343, 0.3127, 0.0642)
Ti (0.3561, 0.6416, 0.3988)
Ti (0.3568, 0.6427, 0.8983)
Ti (0.6850, 0.9838, 0.4362)
Ti (0.6873, 0.9922, 0.7349)
Ti (0.6895, 0.9736, 0.9314)
Ti (0.6945, 0.9788, 0.2366)
Si (0.0551, 0.6514, 0.0014)
Si (0.3614, 0.3412, 0.5042)
Si (0.3620, 0.9483, 0.0000)
Si (0.3988, 0.2796, 0.8342)
Si (0.4112, 0.9654, 0.3359)
Si (0.6818, 0.2741, 0.3372)
Si (0.6877, 0.6889, 0.8324)
Si (0.7458, 0.3044, 0.6704)
Si (0.9873, 0.6987, 0.3386)
P (0.0167, 0.6022, 0.6694)
P (0.0196, 0.0198, 0.1686)
P (0.0604, 0.9481, 0.5020)
P (0.3140, 0.0362, 0.6723)
P (0.3308, 0.3053, 0.1684)
P (0.6622, 0.6458, 0.5025)
P (0.6638, 0.3436, 0.9989)
P (0.7334, 0.6143, 0.1685)
P (0.9861, 0.9770, 0.8345)
O (0.0017, 0.5125, 0.6113)
O (0.0083, 0.1359, 0.1128)
O (0.0108, 0.5121, 0.3390)
O (0.0138, 0.1329, 0.8307)
O (0.0355, 0.4890, 0.7246)
O (0.0369, 0.0954, 0.2271)
O (0.0429, 0.4743, 0.0069)
O (0.0459, 0.1276, 0.5049)
O (0.1065, 0.7011, 0.0638)
O (0.1261, 0.8484, 0.5605)
O (0.1655, 0.8159, 0.8389)
O (0.1740, 0.6239, 0.6694)
O (0.1742, 0.6897, 0.3409)
O (0.1755, 0.8405, 0.1642)
O (0.1768, 0.8518, 0.4472)
O (0.1791, 0.3415, 0.5079)
O (0.1842, 0.1369, 0.0077)
O (0.2007, 0.6144, 0.9487)
O (0.2146, 0.2872, 0.8300)
O (0.2161, 0.1245, 0.7294)
O (0.2186, 0.1474, 0.6154)
O (0.2230, 0.2964, 0.1126)
O (0.2272, 0.1313, 0.3378)
O (0.2359, 0.3276, 0.2263)
O (0.3261, 0.8479, 0.9450)
O (0.3318, 0.4813, 0.4477)
O (0.3322, 0.8591, 0.6698)
O (0.3583, 0.4584, 0.1618)
O (0.3821, 0.4662, 0.8429)
O (0.4036, 0.7896, 0.3413)
O (0.4103, 0.4022, 0.5648)
O (0.4196, 0.8421, 0.0617)
O (0.4947, 0.0205, 0.6711)
O (0.5027, 0.1344, 0.1659)
O (0.5026, 0.1521, 0.8900)
O (0.5046, 0.4596, 0.3417)
O (0.5120, 0.6811, 0.8407)
O (0.5201, 0.9863, 0.9882)
O (0.5217, 0.1837, 0.7736)
O (0.5222, 0.9792, 0.3909)
O (0.5245, 0.1515, 0.4929)
O (0.5276, 0.9457, 0.2733)
O (0.5542, 0.6367, 0.1636)
O (0.5618, 0.4730, 0.6740)
O (0.5615, 0.4774, 0.9494)
O (0.5619, 0.6222, 0.4496)
O (0.5657, 0.3958, 0.0595)
O (0.5731, 0.6751, 0.5628)
O (0.6586, 0.1783, 0.2753)
O (0.6620, 0.8172, 0.7744)
O (0.6936, 0.1640, 0.9866)
O (0.6983, 0.1573, 0.3952)
O (0.6998, 0.7932, 0.4936)
O (0.7111, 0.7849, 0.8914)
O (0.7292, 0.7890, 0.1667)
O (0.7331, 0.1268, 0.6730)
O (0.8074, 0.5221, 0.2272)
O (0.8388, 0.3365, 0.0042)
O (0.8396, 0.4749, 0.5036)
O (0.8453, 0.2970, 0.3383)
O (0.8489, 0.0155, 0.1670)
O (0.8488, 0.5099, 0.1129)
O (0.8517, 0.7790, 0.6719)
O (0.8577, 0.4993, 0.8279)
O (0.8595, 0.2870, 0.6086)
O (0.8611, 0.3104, 0.7265)
O (0.8650, 0.8124, 0.9880)
O (0.8766, 0.7996, 0.3970)
O (0.8768, 0.9771, 0.4953)
O (0.8775, 0.9974, 0.8904)
O (0.8892, 0.8173, 0.2766)
O (0.8949, 0.9587, 0.7772)

Output
- crystal system = triclinic
- V (Å³ per atom) = 12.83
- energy with MP2020 corrections (eV/atom) = -7.488